Here is crystalline Na3V2P2O10F at its relaxed geometry from the Materials Project. Energies are from PBE with a Hubbard U.

Structure (POSCAR):
```
Na3V2P2O10F
1.0
6.4799 0.0000 0.0000
0.0083 6.4821 0.0000
0.0570 0.0507 10.6340
Na V P O F
6 4 4 20 2
Direct
0.0000 0.0000 0.0000 Na
0.0100 0.5473 0.4982 Na
0.4435 0.9834 0.5013 Na
0.4953 0.4961 0.4998 Na
0.5185 0.0072 0.9974 Na
0.9435 0.4808 0.0014 Na
0.2624 0.7269 0.8008 V
0.2632 0.7277 0.1988 V
0.7642 0.2272 0.3014 V
0.7647 0.2279 0.6983 V
0.2564 0.2358 0.7504 P
0.2574 0.2349 0.2490 P
0.7560 0.7357 0.2503 P
0.7568 0.7351 0.7493 P
0.0683 0.2348 0.3385 O
0.0694 0.2388 0.6604 O
0.2508 0.4236 0.8396 O
0.2545 0.4249 0.1606 O
0.2570 0.0414 0.8368 O
0.2603 0.0426 0.1618 O
0.2648 0.7227 0.3564 O
0.2696 0.7270 0.6432 O
0.4494 0.2344 0.3366 O
0.4504 0.2370 0.6635 O
0.5672 0.7348 0.8385 O
0.5686 0.7377 0.1605 O
0.7515 0.9228 0.3399 O
0.7554 0.9241 0.6603 O
0.7564 0.5418 0.3368 O
0.7588 0.5428 0.6623 O
0.7655 0.2200 0.8559 O
0.7714 0.2256 0.1439 O
0.9483 0.7345 0.8372 O
0.9496 0.7372 0.1631 O
0.2514 0.7399 0.9997 F
0.7515 0.2409 0.4998 F
```

Computed properties:
Energy of formation: -2.666 eV/atom
Energy above the lowest structure with this stoichiometry: 0.000 eV/atom
Symmetry: P1 (1)
Calculated volume: 12.407 A^3/atom